Entry 1:
First-principles (GGA+U) data for crystalline CoPH6O6F at its relaxed geometry, as listed in Materials Project.

Structure (extended XYZ):
```
60
Lattice="-3.137 3.313 -1.597 -8.095 -7.855 0.147 -0.295 2.156 10.182" Properties=species:S:1:pos:R:3 pbc="T T T"
H -8.760 -5.286 0.566
H -9.031 -3.333 8.450
O -4.224 -0.794 5.765
O -8.491 -6.544 3.452
H -1.670 0.775 6.024
Co -1.716 2.734 4.293
O -9.109 -3.663 3.103
H -6.815 -1.028 8.238
O -5.399 1.470 8.623
H -3.367 3.518 6.829
O -2.984 2.538 0.358
H -4.982 0.591 8.375
F -6.116 -4.462 3.125
O -7.997 -5.798 0.916
H -2.497 0.947 0.282
H -9.858 -3.161 2.709
P -7.884 -5.482 7.103
O -6.470 -2.660 5.690
H -7.220 -3.305 5.600
O -7.576 -0.515 7.886
O -5.058 0.274 3.042
O -6.128 -3.856 0.110
O -2.419 1.277 5.629
H -6.684 -4.580 0.496
O -9.448 -2.454 8.696
H -8.161 -5.904 1.903
Co -5.764 -1.193 4.366
H -5.810 0.774 2.650
H -8.893 -1.730 8.308
O -3.951 -1.871 0.846
H -4.113 -1.973 1.833
H -2.635 -0.656 0.424
H -6.546 -2.977 0.357
H -4.843 2.194 8.237
O -4.445 -2.618 3.395
H -2.768 2.900 8.167
P -7.697 -0.833 1.708
H -8.356 -3.020 3.195
O -3.531 3.412 7.817
O -7.037 -1.384 0.432
H -3.172 0.634 5.537
O -4.490 -1.002 8.300
F -9.464 -1.851 5.687
H -4.713 -1.358 0.495
Co -4.048 -3.927 0.074
O -7.304 -1.592 2.967
Co 0.000 0.000 0.000
O -3.257 2.350 2.898
O -7.083 0.232 5.337
H -7.415 -0.413 6.899
O -8.271 -4.736 5.834
P -3.831 -1.553 7.024
H -4.307 0.919 3.133
F -5.411 2.076 5.608
H -5.718 -3.160 6.082
P -3.644 3.096 1.630
O -2.080 0.068 0.036
O -8.544 -4.924 8.375
O -3.037 4.158 5.281
F -2.064 -0.535 3.046
```

Computed properties:
Its crystal system is triclinic. For the total magnetic moment, the calculation gives 0.00 μB/cell. For the total energy, the calculation gives -0.206 Ha/atom.

***

Entry 2:
First-principles (GGA+U) data for crystalline Ca2TaWO6 at its relaxed geometry, as listed in Materials Project.

Structure (extended XYZ):
```
10
Lattice="4.956 -2.834 0.000 4.956 2.834 0.000 3.335 0.000 4.634" Properties=species:S:1:pos:R:3 pbc="T T T"
O 8.294 0.526 1.321
O 5.979 -1.091 0.791
Ta 6.615 0.000 2.314
O 7.405 1.029 3.863
Ca 3.066 0.000 1.073
Ca 9.648 0.000 3.375
W 13.244 0.000 4.633
O 7.706 -1.554 3.003
O 5.059 -0.517 3.421
O 5.683 1.608 1.637
```

Computed properties:
The value obtained for the energy above the most stable polymorph in this dataset is 2.8 kJ/mol of atoms. Its crystal system is trigonal. For the total magnetic moment, the calculation gives 3.00 μB/cell. The value obtained for the piezoelectric modulus e_max is 2.67 C/m2.

***

Entry 3:
First-principles (GGA+U) data for crystalline CeEu2CrO6 at its relaxed geometry, as listed in Materials Project.

Structure (extended XYZ):
```
10
Lattice="0.000 -4.135 -4.135 4.135 0.000 -4.135 4.135 -4.135 0.000" Properties=species:S:1:pos:R:3 pbc="T T T"
O 6.088 -4.135 -4.135
O 4.135 -4.135 -6.088
Ce 0.000 0.000 0.000
Cr 4.135 -4.135 -4.135
O 4.135 -4.135 -2.182
Eu 6.203 -6.203 -6.203
Eu 2.068 -2.068 -2.068
O 4.135 -2.182 -4.135
O 2.182 -4.135 -4.135
O 4.135 -6.088 -4.135
```

Computed properties:
Its crystal system is cubic. For the total magnetic moment, the calculation gives 16.00 μB/cell. For the total energy, the calculation gives -0.332 Ha/atom.

***

Entry 4:
First-principles (GGA+U) data for crystalline VPO5 at its relaxed geometry, as listed in Materials Project.

Structure (extended XYZ):
```
14
Lattice="-6.083 -0.319 -0.091 0.303 -4.680 -3.888 0.099 -2.868 3.461" Properties=species:S:1:pos:R:3 pbc="T T T"
O -3.080 -5.455 -0.346
O -4.788 -2.509 2.145
O -0.854 -6.505 -1.279
V 0.173 -2.955 -1.201
O -2.561 -3.559 1.211
O -1.634 -3.544 -1.136
O -3.027 -0.572 0.452
V -2.964 -2.412 2.673
P 0.049 -1.434 1.730
P -2.840 -3.934 -0.259
O -5.490 -4.912 -2.161
O -4.086 -3.178 -0.763
O -0.230 -1.809 0.261
O 0.236 -4.796 1.020
```

Computed properties:
The value obtained for the energy above the most stable polymorph in this dataset is 1.0 kJ/mol of atoms. Its crystal system is tetragonal.